Ga2H6Se3O12 (PBE-GGA, optimized geometry); crystal system = trigonal; space-group type = R3c; largest piezoelectric modulus = 1.0 C/m2
1.0
7.233 -4.695 0.000
7.233 4.695 0.000
4.186 0.000 7.539
Ga H Se O
4 12 6 24
Cartesian
2.296 0.000 0.928
11.623 0.000 4.698
6.695 0.000 2.706
16.022 0.000 6.475
6.743 -0.674 5.354
7.895 2.448 2.506
8.332 -1.774 1.423
11.884 0.674 1.585
10.426 -2.921 5.193
9.988 2.247 6.276
8.108 0.072 4.973
9.015 1.326 2.728
8.968 -1.398 2.844
13.248 -0.072 1.204
11.061 -3.296 6.613
11.108 3.369 6.497
13.551 -2.128 6.388
13.335 1.796 6.922
14.716 0.333 3.504
11.457 -2.566 2.618
9.576 -0.333 7.274
11.242 2.899 3.153
8.611 -3.070 0.137
5.872 -1.149 6.912
7.865 4.219 1.982
10.704 -1.625 3.907
9.958 0.476 5.752
11.013 1.149 3.143
8.080 0.524 7.419
10.414 3.073 1.643
10.074 -3.597 2.485
13.220 -0.524 3.649
12.167 -1.098 6.254
12.508 1.622 5.412
14.618 -1.101 7.294
14.983 1.663 6.391
15.697 -0.562 4.623
5.291 1.101 3.524
6.370 0.562 0.854
5.656 -1.663 2.621
7.352 -0.441 4.600
8.058 1.528 2.854
8.344 -1.087 2.146
12.493 0.441 0.831
10.437 -3.608 5.916
10.151 3.167 6.624

***

Tl2SnS3 (PBE-GGA, optimized geometry); crystal system = monoclinic; space-group type = C2/m
1.0
1.958 11.812 0.000
-1.958 11.812 0.000
0.000 0.450 7.515
Tl Sn S
4 2 6
Cartesian
0.000 8.355 5.907
0.000 15.719 1.608
0.000 12.335 5.616
0.000 11.739 1.898
0.000 3.826 5.415
0.000 20.248 2.100
0.000 2.504 7.409
0.000 21.570 0.105
0.000 2.330 3.553
0.000 21.743 3.962
0.000 17.181 5.369
0.000 6.893 2.146

***

ClF3 (PBE-GGA, optimized geometry); crystal system = orthorhombic; space-group type = Pnma
1.0
4.699 0.000 0.000
0.000 6.272 0.000
0.000 0.000 9.209
Cl F
4 12
Cartesian
2.943 4.704 1.437
1.756 1.568 7.772
4.106 4.704 6.042
0.593 1.568 3.167
4.212 4.704 0.406
1.711 6.093 7.811
0.638 6.093 3.206
2.836 4.704 5.011
0.638 3.315 3.206
0.487 1.568 8.803
1.711 3.315 7.811
2.987 2.957 1.398
4.061 2.957 6.003
2.987 0.179 1.398
4.061 0.179 6.003
1.862 1.568 4.198

***

TiPd (PBE-GGA, optimized geometry); crystal system = monoclinic; space-group type = P2_1/m
1.0
4.589 0.000 0.000
0.000 2.809 0.000
0.000 0.176 4.912
Ti Pd
2 2
Cartesian
1.147 2.772 1.465
3.442 0.214 3.447
1.147 1.560 3.991
3.442 1.425 0.921

***

| no. | formation energy (meV/atom) | final energy (eV/atom) |
| --- | --- | --- |
| 1 | -1458.4 | -5.29 |
| 2 | -627.3 | -3.90 |
| 3 | -954.1 | -2.51 |
| 4 | -544.9 | -7.08 |